1 | Below is crystalline Ru2C3N6 at its relaxed geometry, with properties calculated at the PBE level.

a b c (Å): 5.4510 5.4510 10.1421
angles (deg): 105.76 105.76 58.57
Fractional coordinates of all 22 atoms:
Ru 0.1530 0.6928 0.9981
Ru 0.3072 0.8470 0.5019
Ru 0.6928 0.1530 0.4981
Ru 0.8470 0.3072 0.0019
C 0.0851 0.2546 0.7629
C 0.2546 0.0851 0.2629
C 0.4348 0.5652 0.7500
C 0.5652 0.4348 0.2500
C 0.7454 0.9149 0.7371
C 0.9149 0.7454 0.2371
N 0.0514 0.1714 0.6376
N 0.0976 0.3399 0.8896
N 0.1714 0.0514 0.1376
N 0.3399 0.0976 0.3896
N 0.4135 0.5379 0.6226
N 0.4621 0.5865 0.8774
N 0.5379 0.4135 0.1226
N 0.5865 0.4621 0.3774
N 0.6601 0.9024 0.6104
N 0.8286 0.9486 0.8624
N 0.9024 0.6601 0.1104
N 0.9486 0.8286 0.3624

- Mass density: 4.4 g/cm³
- Total magnetic moment: 0.0 μB per cell
- SG: C2/c (15)

2 | Below is crystalline Ru2C3N6 at its relaxed geometry, with properties calculated at the PBE level.

a b c (Å): 8.8422 8.8422 5.1245
angles (deg): 90.39 90.39 21.29
Fractional coordinates of all 11 atoms:
Ru 0.1770 0.1770 0.0813
Ru 0.8230 0.8230 0.9187
C 0.0000 0.0000 0.0000
C 0.3177 0.3177 0.4156
C 0.6823 0.6823 0.5844
N 0.0703 0.0703 0.0106
N 0.2979 0.2979 0.1783
N 0.3323 0.3323 0.6478
N 0.6677 0.6677 0.3522
N 0.7021 0.7021 0.8217
N 0.9297 0.9297 0.9894

- Mass density: 3.7 g/cm³
- Total magnetic moment: 0.0 μB per cell
- SG: C2/m (12)

The structure with the greatest stability is 1.

1 | Below is crystalline SnC8N6 at its relaxed geometry, with properties calculated at the PBE level.

a b c (Å): 8.4225 5.7273 11.4590
angles (deg): 90.00 90.00 90.00
Fractional coordinates of all 30 atoms:
Sn 0.0000 0.0000 0.0000
Sn 0.5000 0.0000 0.5000
C 0.0000 0.4015 0.2607
C 0.0000 0.4101 0.6609
C 0.0000 0.5899 0.3392
C 0.0000 0.5985 0.7393
C 0.1435 0.3148 0.6212
C 0.1435 0.6852 0.3788
C 0.3565 0.3148 0.8788
C 0.3565 0.6852 0.1212
C 0.5000 0.4015 0.2393
C 0.5000 0.4101 0.8392
C 0.5000 0.5899 0.1608
C 0.5000 0.5985 0.7607
C 0.6435 0.3148 0.8788
C 0.6435 0.6852 0.1212
C 0.8565 0.3148 0.6212
C 0.8565 0.6852 0.3788
N 0.0000 0.2423 0.1963
N 0.0000 0.7577 0.8037
N 0.2368 0.2358 0.9129
N 0.2368 0.7642 0.0871
N 0.2632 0.2358 0.5871
N 0.2632 0.7642 0.4129
N 0.5000 0.2423 0.3037
N 0.5000 0.7577 0.6963
N 0.7368 0.2358 0.5871
N 0.7368 0.7642 0.4129
N 0.7632 0.2358 0.9129
N 0.7632 0.7642 0.0871

- Mass density: 1.8 g/cm³
- Total magnetic moment: 0.0 μB per cell
- SG: Pmna (53)

2 | Below is crystalline SnC8N6 at its relaxed geometry, with properties calculated at the PBE level.

a b c (Å): 13.8342 13.8342 5.1746
angles (deg): 90.00 90.00 120.00
Fractional coordinates of all 45 atoms:
Sn 0.0000 0.0000 0.0000
Sn 0.3333 0.6667 0.4524
Sn 0.6667 0.3333 0.4524
C 0.0000 0.1967 0.5810
C 0.0000 0.2820 0.4376
C 0.0000 0.6189 0.8618
C 0.0000 0.7127 0.9688
C 0.1007 0.6228 0.8037
C 0.1019 0.3752 0.3663
C 0.1967 0.0000 0.5810
C 0.2733 0.8981 0.3663
C 0.2820 0.0000 0.4376
C 0.2873 0.2873 0.9688
C 0.3752 0.1019 0.3663
C 0.3772 0.4779 0.8037
C 0.3811 0.3811 0.8618
C 0.4779 0.3772 0.8037
C 0.5221 0.8993 0.8037
C 0.6189 0.0000 0.8618
C 0.6228 0.1007 0.8037
C 0.6248 0.7267 0.3663
C 0.7127 0.0000 0.9688
C 0.7180 0.7180 0.4376
C 0.7267 0.6248 0.3663
C 0.8033 0.8033 0.5810
C 0.8981 0.2733 0.3663
C 0.8993 0.5221 0.8037
N 0.0000 0.1241 0.6973
N 0.0000 0.7908 0.0565
N 0.1241 0.0000 0.6973
N 0.1848 0.6248 0.7583
N 0.1877 0.4523 0.3064
N 0.2092 0.2092 0.0565
N 0.2646 0.8123 0.3064
N 0.3752 0.5600 0.7583
N 0.4400 0.8152 0.7583
N 0.4523 0.1877 0.3064
N 0.5477 0.7354 0.3064
N 0.5600 0.3752 0.7583
N 0.6248 0.1848 0.7583
N 0.7354 0.5477 0.3064
N 0.7908 0.0000 0.0565
N 0.8123 0.2646 0.3064
N 0.8152 0.4400 0.7583
N 0.8759 0.8759 0.6973

- Mass density: 1.7 g/cm³
- Total magnetic moment: 0.0 μB per cell
- SG: P31m (157)

The structure with the greatest stability is 2.

1 | Below is crystalline Ta2CN at its relaxed geometry, with properties calculated at the PBE level.

a b c (Å): 4.4472 4.4472 8.9753
angles (deg): 90.00 90.00 90.00
Fractional coordinates of all 16 atoms:
Ta 0.0000 0.2500 0.1154
Ta 0.0000 0.2500 0.6346
Ta 0.0000 0.7500 0.3654
Ta 0.0000 0.7500 0.8846
Ta 0.5000 0.2500 0.3846
Ta 0.5000 0.2500 0.8654
Ta 0.5000 0.7500 0.1346
Ta 0.5000 0.7500 0.6154
C 0.0000 0.2500 0.8750
C 0.0000 0.7500 0.1250
C 0.5000 0.2500 0.6250
C 0.5000 0.7500 0.3750
N 0.0000 0.2500 0.3750
N 0.0000 0.7500 0.6250
N 0.5000 0.2500 0.1250
N 0.5000 0.7500 0.8750

- Mass density: 14.5 g/cm³
- Total magnetic moment: 0.0 μB per cell
- SG: I4_1/amd (141)

2 | Below is crystalline Ta2CN at its relaxed geometry, with properties calculated at the PBE level.

a b c (Å): 3.1468 3.1468 4.4577
angles (deg): 90.00 90.00 90.00
Fractional coordinates of all 4 atoms:
Ta 0.0000 0.0000 0.0000
Ta 0.5000 0.5000 0.5000
C 0.0000 0.0000 0.5000
N 0.5000 0.5000 0.0000

- Mass density: 14.6 g/cm³
- Total magnetic moment: 0.0 μB per cell
- SG: P4/mmm (123)

The structure with the greatest stability is 1.

1 | Below is crystalline NaC2 at its relaxed geometry, with properties calculated at the PBE level.

a b c (Å): 4.1216 4.8838 5.2130
angles (deg): 90.00 90.00 90.00
Fractional coordinates of all 6 atoms:
Na 0.0000 0.0000 0.0000
Na 0.5000 0.5000 0.5000
C 0.0000 0.1294 0.5000
C 0.0000 0.8706 0.5000
C 0.5000 0.3706 0.0000
C 0.5000 0.6294 0.0000

- Mass density: 1.5 g/cm³
- Total magnetic moment: 2.0 μB per cell
- SG: Immm (71)

2 | Below is crystalline NaC2 at its relaxed geometry, with properties calculated at the PBE level.

a b c (Å): 4.6221 4.6221 4.6221
angles (deg): 90.00 90.00 90.00
Fractional coordinates of all 12 atoms:
Na 0.1250 0.1250 0.1250
Na 0.3750 0.8750 0.6250
Na 0.6250 0.3750 0.8750
Na 0.8750 0.6250 0.3750
C 0.1015 0.6015 0.8985
C 0.1485 0.3515 0.6485
C 0.3515 0.6485 0.1485
C 0.3985 0.3985 0.3985
C 0.6015 0.8985 0.1015
C 0.6485 0.1485 0.3515
C 0.8515 0.8515 0.8515
C 0.8985 0.1015 0.6015

- Mass density: 3.2 g/cm³
- Total magnetic moment: 0.0 μB per cell
- SG: P4_332 (212)

The structure with the greatest stability is 2.